(1)
First-principles (PBE) data for a relaxed Ce5Cu19P12 crystal, as listed in the Materials Project.

Formation enthalpy at 0 K   -527 meV/atom
Energy   -191.5 eV per cell
Symmetry   P-62m (189)
Crystal system   hexagonal

abc: 12.6457 12.6457 3.8829
angles: 90.00 90.00 120.00
With the nearest neighbours (Å) after each atom.
Sites, in units of the cell vectors:
Cu (0.1735, 0.7937, 0.0000)  4 P 2.36-2.49
Cu (0.5445, 0.0000, 0.0000)  1 P 2.33
Cu (0.0000, 0.5445, 0.0000)  1 P 2.33
Cu (0.6201, 0.8265, 0.0000)  4 P 2.36-2.49
Cu (0.7937, 0.1735, 0.0000)  4 P 2.36-2.49
Cu (0.6393, 0.5217, 0.5000)  4 P 2.37-2.45, 1 Cu 2.58
Cu (0.2063, 0.3799, 0.0000)  4 P 2.36-2.49
Cu (0.2901, 0.2901, 0.5000)  4 P 2.34-2.42
Cu (0.8824, 0.3607, 0.5000)  4 P 2.37-2.45, 1 Cu 2.58
Cu (0.4783, 0.1176, 0.5000)  4 P 2.37-2.45, 1 Cu 2.58
Cu (0.1176, 0.4783, 0.5000)  4 P 2.37-2.45, 1 Cu 2.58
Cu (0.5217, 0.6393, 0.5000)  4 P 2.37-2.45, 1 Cu 2.58
Cu (0.0000, 0.7099, 0.5000)  4 P 2.34-2.42
Cu (0.8265, 0.6201, 0.0000)  4 P 2.36-2.49
Cu (0.3607, 0.8824, 0.5000)  4 P 2.37-2.45, 1 Cu 2.58
Cu (0.4555, 0.4555, 0.0000)  1 P 2.33
Cu (0.3799, 0.2063, 0.0000)  4 P 2.36-2.49
Cu (0.7099, 0.0000, 0.5000)  4 P 2.34-2.42
Cu (0.0000, 0.0000, 0.0000)  3 P 2.22
P (0.1728, 0.6872, 0.5000)  5 Cu 2.34-2.42
P (0.4857, 0.3128, 0.5000)  5 Cu 2.34-2.42
P (0.6872, 0.1728, 0.5000)  5 Cu 2.34-2.42
P (0.0000, 0.8242, 0.0000)  5 Cu 2.22-2.42
P (0.3601, 0.0000, 0.0000)  7 Cu 2.33-2.49
P (0.1758, 0.1758, 0.0000)  5 Cu 2.22-2.42
P (0.6399, 0.6399, 0.0000)  7 Cu 2.33-2.49
P (0.5143, 0.8272, 0.5000)  5 Cu 2.34-2.42
P (0.8242, 0.0000, 0.0000)  5 Cu 2.22-2.42
P (0.3128, 0.4857, 0.5000)  5 Cu 2.34-2.42
P (0.8272, 0.5143, 0.5000)  5 Cu 2.34-2.42
P (0.0000, 0.3601, 0.0000)  7 Cu 2.33-2.49
Ce (0.1862, 0.0000, 0.5000)  6 P 2.93-3.00, 10 Cu 3.05-3.22
Ce (0.0000, 0.1862, 0.5000)  6 P 2.93-3.00, 10 Cu 3.05-3.22
Ce (0.3333, 0.6667, 0.0000)  6 P 2.91, 9 Cu 3.15-3.22
Ce (0.6667, 0.3333, 0.0000)  6 P 2.91, 9 Cu 3.15-3.22
Ce (0.8138, 0.8138, 0.5000)  6 P 2.93-3.00, 10 Cu 3.05-3.22

***

(2)
First-principles (PBE) data for a relaxed Ce5Cu19P12 crystal, as listed in the Materials Project.

Formation enthalpy at 0 K   -529 meV/atom
Energy   -191.5 eV per cell
Symmetry   P1 (1)
Crystal system   triclinic

abc: 3.8890 12.5871 12.5860
angles: 119.99 89.64 90.18
With the nearest neighbours (Å) after each atom.
Sites, in units of the cell vectors:
Cu (0.9949, 0.3801, 0.2062)  4 P 2.35-2.49
Cu (0.0785, 0.5452, 0.0004)  3 P 2.33-2.59
Cu (0.0046, 0.8267, 0.6204)  4 P 2.34-2.49
Cu (0.4870, 0.8821, 0.3606)  4 P 2.37-2.46, 2 Cu 2.57-2.65
Cu (0.0048, 0.1735, 0.7936)  4 P 2.34-2.49
Cu (0.5088, 0.4782, 0.1179)  4 P 2.37-2.47, 2 Cu 2.57-2.64
Cu (0.9195, 0.9999, 0.5453)  3 P 2.33-2.58
Cu (0.5086, 0.5213, 0.6396)  4 P 2.37-2.47, 2 Cu 2.57-2.65
Cu (0.9987, 0.0001, 0.0000)  3 P 2.21
Cu (0.4872, 0.1180, 0.4786)  4 P 2.37-2.46, 2 Cu 2.57-2.65
Cu (0.5120, 0.3602, 0.8820)  4 P 2.37-2.46, 2 Cu 2.57-2.65
Cu (0.9949, 0.6199, 0.8264)  4 P 2.35-2.49
Cu (0.0789, 0.4543, 0.4546)  3 P 2.33-2.59
Cu (0.5040, 0.7116, 0.0000)  4 P 2.34-2.42
Cu (0.9951, 0.7936, 0.1733)  4 P 2.34-2.49
Cu (0.4964, 0.0001, 0.7120)  4 P 2.34-2.42
Cu (0.9950, 0.2067, 0.3794)  4 P 2.34-2.50
Cu (0.5120, 0.6395, 0.5216)  4 P 2.37-2.47, 2 Cu 2.57-2.65
Cu (0.5040, 0.2884, 0.2882)  4 P 2.34-2.42
Ce (0.4995, 0.8137, 0.8137)  6 P 2.94-3.01, 10 Cu 3.04-3.21
Ce (0.9997, 0.6668, 0.3333)  6 P 2.89-2.93, 7 Cu 3.13-3.23
Ce (0.4997, 0.1867, 0.0001)  6 P 2.93-3.01, 10 Cu 3.05-3.20
Ce (0.4983, 0.0005, 0.1866)  6 P 2.94-3.00, 10 Cu 3.04-3.21
Ce (0.9997, 0.3331, 0.6665)  6 P 2.89-2.93, 7 Cu 3.13-3.23
P (0.0024, 0.3615, 0.9999)  7 Cu 2.33-2.49
P (0.9948, 0.0000, 0.3615)  7 Cu 2.33-2.50
P (0.5037, 0.8269, 0.5154)  6 Cu 2.34-2.58
P (0.0016, 0.8245, 0.0001)  5 Cu 2.21-2.42
P (0.4943, 0.4848, 0.3116)  6 Cu 2.34-2.58
P (0.4969, 0.6881, 0.1730)  6 Cu 2.34-2.59
P (0.5037, 0.1733, 0.6884)  6 Cu 2.34-2.58
P (0.4968, 0.3114, 0.4847)  6 Cu 2.34-2.59
P (0.4942, 0.5147, 0.8266)  6 Cu 2.34-2.58
P (0.0024, 0.6383, 0.6385)  7 Cu 2.33-2.49
P (0.0016, 0.1759, 0.1753)  5 Cu 2.21-2.42
P (0.9978, 0.0004, 0.8247)  5 Cu 2.21-2.42

***

(3)
First-principles (PBE) data for a relaxed CeZnCuP2 crystal, as listed in the Materials Project.

Formation enthalpy at 0 K   -736 meV/atom
Energy   -25.8 eV per cell
Symmetry   P3m1 (156)
Crystal system   trigonal

abc: 4.0039 4.0039 6.6538
angles: 90.00 90.00 120.00
With the nearest neighbours (Å) after each atom.
Sites, in units of the cell vectors:
Zn (0.0000, 0.0000, 0.3727)  4 P 2.42-2.43
Cu (0.6667, 0.3333, 0.6391)  4 P 2.40-2.51
Ce (0.3333, 0.6667, 0.9901)  6 P 2.86-2.93
P (0.6667, 0.3333, 0.2616)  3 Zn 2.43, 1 Cu 2.51
P (0.0000, 0.0000, 0.7364)  3 Cu 2.40, 1 Zn 2.42

***

(4)
First-principles (PBE) data for a relaxed CeCuPb crystal, as listed in the Materials Project.

Formation enthalpy at 0 K   -297 meV/atom
Energy   -29.3 eV per cell
Symmetry   P6_3mc (186)
Crystal system   hexagonal

abc: 4.7173 4.7173 7.4691
angles: 90.00 90.00 120.00
With the nearest neighbours (Å) after each atom.
Sites, in units of the cell vectors:
Ce (0.0000, 0.0000, 0.0128)  3 Cu 3.07, 6 Pb 3.22-3.38
Ce (0.0000, 0.0000, 0.5128)  3 Cu 3.07, 6 Pb 3.22-3.38
Cu (0.6667, 0.3333, 0.3245)  3 Pb 2.79, 3 Ce 3.07
Cu (0.3333, 0.6667, 0.8245)  3 Pb 2.79, 3 Ce 3.07
Pb (0.6667, 0.3333, 0.7440)  3 Cu 2.79
Pb (0.3333, 0.6667, 0.2440)  3 Cu 2.79

***

(5)
First-principles (PBE) data for a relaxed CeCuPt4 crystal, as listed in the Materials Project.

Formation enthalpy at 0 K   -635 meV/atom
Energy   -38.1 eV per cell
Symmetry   P-6m2 (187)
Crystal system   hexagonal

abc: 5.3739 5.3739 4.3585
angles: 90.00 90.00 120.00
With the nearest neighbours (Å) after each atom.
Sites, in units of the cell vectors:
Ce (0.0000, 0.0000, 0.0000)  3 Cu 3.10, 15 Pt 3.10-3.46
Pt (0.0038, 0.5019, 0.5000)  6 Pt 2.66-2.72, 2 Cu 2.66
Pt (0.4981, 0.5019, 0.5000)  6 Pt 2.66-2.72, 2 Cu 2.66
Pt (0.6667, 0.3333, 0.0000)  6 Pt 2.69
Pt (0.4981, 0.9962, 0.5000)  6 Pt 2.66-2.72, 2 Cu 2.66
Cu (0.3333, 0.6667, 0.0000)  6 Pt 2.66

***

(6)
First-principles (PBE) data for a relaxed CeCuSi2Ru crystal, as listed in the Materials Project.

Formation enthalpy at 0 K   -633 meV/atom
Energy   -33.3 eV per cell
Symmetry   I-4m2 (119)
Crystal system   tetragonal

abc: 5.8524 5.8524 5.8524
angles: 139.69 139.69 58.32
With the nearest neighbours (Å) after each atom.
Sites, in units of the cell vectors:
Si (0.6193, 0.6193, 0.0000)  2 Ru 2.42, 2 Cu 2.42, 1 Si 2.44
Si (0.3807, 0.3807, 0.0000)  2 Cu 2.42, 2 Ru 2.42, 1 Si 2.44
Ce (0.0000, 0.0000, 0.0000)  8 Si 3.10, 4 Ru 3.26, 4 Cu 3.26
Ru (0.7500, 0.2500, 0.5000)  4 Si 2.42
Cu (0.2500, 0.7500, 0.5000)  4 Si 2.42

***

What is the formation enthalpy at 0 K in the fourth record?
-297 meV/atom